Record 1
Material: SiPt
Method: DFT, PBE-GGA
State: relaxed

Cell: 5.651 3.639 5.978 Å, 90.00 90.00 90.00°
Space group Pnma (No. 62)
Inequivalent atoms, fractional coordinates:
Si: 0.178 0.250 0.083
Pt: 0.005 0.750 0.307

Summary:
total energy: -6.412 eV/atom
calculated formation energy: -0.664 eV per atom

Record 2
Material: SiPt3
Method: DFT, PBE-GGA
State: relaxed

Cell: 7.766 7.909 5.446 Å, 90.00 133.24 90.00°
Space group C2/m (No. 12)
Inequivalent atoms, fractional coordinates:
Si: 0.215 0.000 0.426
Pt: 0.000 0.226 0.000
Pt: 0.000 0.316 0.500
Pt: 0.217 0.000 0.863

Summary:
total energy: -6.416 eV/atom
calculated formation energy: -0.507 eV per atom

Record 3
Material: SiPt3
Method: DFT, PBE-GGA
State: relaxed

Cell: 5.678 7.685 5.565 Å, 90.00 90.00 90.00°
Space group Pnma (No. 62)
Inequivalent atoms, fractional coordinates:
Si: 0.082 0.250 0.007
Pt: 0.006 0.750 0.417
Pt: 0.188 0.547 0.808

Summary:
total energy: -6.410 eV/atom
calculated formation energy: -0.500 eV per atom

Record 4
Material: SiPt2
Method: DFT, PBE-GGA
State: relaxed

Cell: 3.983 3.983 5.988 Å, 90.00 90.00 90.00°
Space group I4/mmm (No. 139)
Inequivalent atoms, fractional coordinates:
Si: 0.000 0.000 0.000
Pt: 0.000 0.500 0.250

Summary:
total energy: -6.570 eV/atom
calculated formation energy: -0.715 eV per atom

Record 5
Material: Si5Pt12
Method: DFT, PBE-GGA
State: relaxed

Cell: 9.601 9.601 5.584 Å, 90.00 90.00 90.00°
Space group I4/m (No. 87)
Inequivalent atoms, fractional coordinates:
Si: 0.000 0.000 0.000
Si: 0.078 0.304 0.500
Pt: 0.056 0.367 0.000
Pt: 0.122 0.825 0.250

Summary:
M_tot: 0.00 μB per cell
relative energy among the computed polymorphs: 22.9 meV per atom
total energy: -6.437 eV/atom
calculated formation energy: -0.556 eV per atom

Record 6
Material: SiPt2
Method: DFT, PBE-GGA
State: relaxed

Cell: 6.5469 6.5469 3.6144 Å, 90.00 90.00 120.00°
Space group P-62m (No. 189)
Inequivalent atoms, fractional coordinates:
Si: 0.0000 0.0000 0.0000
Si: 0.3333 0.6667 0.5000
Pt: 0.0000 0.2775 0.5000
Pt: 0.0000 0.6194 0.0000

Summary:
M_tot: 0.00 μB per cell
total energy: -6.467 eV/atom
calculated formation energy: -0.611 eV per atom